Record 1
The following is a DFT calculation (PBE) of crystalline HoLuCd2 at its relaxed geometry.

Unit cell a=5.241 b=5.241 c=5.241 alpha=60.00 beta=60.00 gamma=60.00
Sites, in units of the cell vectors:
Ho  0.500  0.500  0.500
Cd  0.250  0.250  0.250
Cd  0.750  0.750  0.750
Lu  0.000  0.000  0.000

=====

Record 2
The following is a DFT calculation (PBE) of crystalline HoCdNi4 at its relaxed geometry.

Unit cell a=4.961 b=4.961 c=4.961 alpha=60.00 beta=60.00 gamma=60.00
Sites, in units of the cell vectors:
Ni  0.374  0.374  0.374
Ni  0.877  0.374  0.374
Ni  0.374  0.877  0.374
Ni  0.374  0.374  0.877
Ho  0.750  0.750  0.750
Cd  0.000  0.000  0.000

=====

Record 3
The following is a DFT calculation (PBE) of crystalline Ho4CdPd at its relaxed geometry.

Unit cell a=9.666 b=9.666 c=9.666 alpha=60.00 beta=60.00 gamma=60.00
Sites, in units of the cell vectors:
Ho  0.353  0.941  0.353
Ho  0.566  0.934  0.934
Ho  0.811  0.811  0.189
Ho  0.934  0.934  0.566
Ho  0.566  0.934  0.566
Ho  0.189  0.189  0.811
Ho  0.189  0.811  0.189
Ho  0.189  0.811  0.811
Ho  0.811  0.189  0.189
Ho  0.934  0.566  0.934
Ho  0.353  0.353  0.353
Ho  0.934  0.566  0.566
Ho  0.353  0.353  0.941
Ho  0.941  0.353  0.353
Ho  0.566  0.566  0.934
Ho  0.811  0.189  0.811
Pd  0.569  0.144  0.144
Pd  0.144  0.569  0.144
Pd  0.144  0.144  0.569
Pd  0.144  0.144  0.144
Cd  0.582  0.582  0.254
Cd  0.582  0.582  0.582
Cd  0.254  0.582  0.582
Cd  0.582  0.254  0.582

=====

Record 4
The following is a DFT calculation (PBE) of crystalline HoCdPt2 at its relaxed geometry.

Unit cell a=4.792 b=4.792 c=4.792 alpha=60.00 beta=60.00 gamma=60.00
Sites, in units of the cell vectors:
Pt  0.250  0.250  0.250
Pt  0.750  0.750  0.750
Ho  0.000  0.000  0.000
Cd  0.500  0.500  0.500

=====

Record 5
The following is a DFT calculation (PBE) of crystalline Ho2CdS4 at its relaxed geometry.

Unit cell a=7.964 b=7.964 c=7.964 alpha=60.00 beta=60.00 gamma=60.00
Sites, in units of the cell vectors:
S  0.367  0.367  0.898
S  0.367  0.898  0.367
S  0.898  0.367  0.367
S  0.883  0.883  0.883
S  0.367  0.367  0.367
S  0.883  0.352  0.883
S  0.883  0.883  0.352
S  0.352  0.883  0.883
Cd  0.500  0.500  0.500
Cd  0.750  0.750  0.750
Ho  0.625  0.125  0.125
Ho  0.125  0.625  0.125
Ho  0.125  0.125  0.625
Ho  0.125  0.125  0.125

Summary:
- relative energy among the computed polymorphs (meV/atom) = 0
- total energy after the MP2020 corrections (eV/atom) = -5.760

=====

Record 6
The following is a DFT calculation (PBE) of crystalline Ho2CdS4 at its relaxed geometry.

Unit cell a=6.738 b=6.738 c=6.738 alpha=131.84 beta=131.84 gamma=70.49
Sites, in units of the cell vectors:
S  0.496  0.996  0.500
S  0.756  0.756  0.000
S  0.004  0.504  0.500
S  0.244  0.244  0.000
Ho  0.250  0.750  0.500
Ho  0.000  0.000  0.000
Cd  0.500  0.500  0.000

Summary:
- relative energy among the computed polymorphs (meV/atom) = 130
- total energy after the MP2020 corrections (eV/atom) = -5.629

=====

Record 7
The following is a DFT calculation (PBE) of crystalline Ho2CdS4 at its relaxed geometry.

Unit cell a=8.026 b=8.026 c=8.026 alpha=120.38 beta=120.15 gamma=89.54
Sites, in units of the cell vectors:
S  0.225  0.241  0.984
S  0.245  0.761  0.016
S  0.245  0.228  0.484
S  0.757  0.241  0.516
S  0.755  0.772  0.516
S  0.243  0.759  0.484
S  0.775  0.759  0.016
S  0.755  0.239  0.984
Cd  0.000  0.000  0.500
Cd  0.000  0.500  0.000
Ho  0.000  0.000  0.000
Ho  0.622  0.372  0.250
Ho  0.378  0.628  0.750
Ho  0.500  0.000  0.500

Summary:
- relative energy among the computed polymorphs (meV/atom) = 143
- total energy after the MP2020 corrections (eV/atom) = -5.616

=====

Record 8
The following is a DFT calculation (PBE) of crystalline Ho2CdS4 at its relaxed geometry.

Unit cell a=7.948 b=7.948 c=33.031 alpha=82.79 beta=82.79 gamma=60.59
Sites, in units of the cell vectors:
Cd  0.670  0.670  0.476
Cd  0.548  0.548  0.350
Cd  0.871  0.871  0.876
Cd  0.146  0.146  0.551
Cd  0.746  0.746  0.751
Cd  0.948  0.948  0.149
Cd  0.473  0.473  0.077
Cd  0.346  0.346  0.951
Cd  0.602  0.602  0.198
Cd  0.271  0.271  0.676
S  0.535  0.535  0.923
S  0.532  0.006  0.924
S  0.748  0.215  0.826
S  0.428  0.428  0.720
S  0.615  0.148  0.626
S  0.347  0.815  0.026
S  0.735  0.735  0.323
S  0.924  0.924  0.230
S  0.333  0.806  0.524
S  0.606  0.131  0.124
S  0.406  0.933  0.724
S  0.131  0.606  0.124
S  0.227  0.227  0.320
S  0.815  0.347  0.026
S  0.521  0.521  0.429
S  0.335  0.335  0.523
S  0.122  0.122  0.629
S  0.415  0.415  0.227
S  0.547  0.015  0.426
S  0.203  0.737  0.324
S  0.148  0.615  0.626
S  0.722  0.722  0.829
S  0.945  0.414  0.227
S  0.323  0.323  0.030
S  0.015  0.547  0.426
S  0.028  0.028  0.920
S  0.014  0.014  0.426
S  0.737  0.203  0.324
S  0.627  0.627  0.120
S  0.414  0.945  0.227
S  0.006  0.532  0.924
S  0.806  0.333  0.524
S  0.935  0.935  0.723
S  0.215  0.215  0.826
S  0.615  0.615  0.626
S  0.215  0.748  0.826
S  0.136  0.136  0.124
S  0.933  0.406  0.724
S  0.815  0.815  0.027
S  0.828  0.828  0.520
Ho  0.404  0.404  0.799
Ho  0.578  0.074  0.274
Ho  0.380  0.873  0.875
Ho  0.676  0.676  0.974
Ho  0.873  0.873  0.374
Ho  0.004  0.004  0.999
Ho  0.873  0.380  0.875
Ho  0.673  0.181  0.476
Ho  0.780  0.273  0.676
Ho  0.977  0.473  0.076
Ho  0.273  0.780  0.676
Ho  0.278  0.278  0.174
Ho  0.804  0.804  0.600
Ho  0.076  0.076  0.774
Ho  0.473  0.977  0.076
Ho  0.203  0.203  0.400
Ho  0.074  0.578  0.274
Ho  0.476  0.476  0.574
Ho  0.181  0.673  0.476
Ho  0.074  0.074  0.274

Summary:
- relative energy among the computed polymorphs (meV/atom) = 60
- total energy after the MP2020 corrections (eV/atom) = -5.700

=====

no.,ΔE_f (meV per atom)
1,-306
2,-361
3,-454
4,-835
5,-1955
6,-1824
7,-1812
8,-1895